Entry from the Materials Project database: an optimized crystal structure of LaIn4Ni (GGA-PBE).

Values from the calculation:
* theoretical density: 7.68 g cm⁻³
* energy of formation from the pure elements: -0.392 eV/atom
* raw total energy: -4.0126 eV/atom

a b c (Å): 8.8511 8.8511 7.2782
angles (deg): 90.00 90.00 150.12
With the nearest neighbours (Å) after each atom.
Sites, in units of the cell vectors:
1 La 0.1177 0.8823 0.7500  13 In 3.32-3.71, 2 Ni 3.53
2 La 0.8823 0.1177 0.2500  13 In 3.32-3.71, 2 Ni 3.53
3 In 0.0763 0.9237 0.2500  1 Ni 2.55
4 In 0.3113 0.6887 0.5465  3 Ni 2.61-2.79
5 In 0.3113 0.6887 0.9535  3 Ni 2.61-2.79
6 In 0.5000 0.5000 0.0000  6 In 3.20-3.24, 4 La 3.55
7 In 0.5000 0.5000 0.5000  6 In 3.20-3.24, 4 La 3.55
8 In 0.6887 0.3113 0.0465  3 Ni 2.61-2.79
9 In 0.6887 0.3113 0.4535  3 Ni 2.61-2.79
10 In 0.9237 0.0763 0.7500  1 Ni 2.55
11 Ni 0.2252 0.7748 0.2500  7 In 2.55-2.79
12 Ni 0.7748 0.2252 0.7500  7 In 2.55-2.79